The following is a GGA+U calculation of a relaxed structure of Mo3NO9, from Materials Project.

```
Mo3NO9
1.0
7.7701 -3.8790 0.0000
7.7701 3.8790 0.0000
-0.4546 0.0000 6.4371
Mo N O
6 2 18
direct
0.1805 0.6976 0.7297
0.3024 0.8195 0.2703
0.3769 0.3769 0.3550
0.6231 0.6231 0.6450
0.6976 0.1805 0.7297
0.8195 0.3024 0.2703
0.1838 0.1838 0.8276
0.8162 0.8162 0.1724
0.0396 0.0396 0.2982
0.0752 0.5940 0.7871
0.1845 0.6549 0.4216
0.2491 0.7509 0.0000
0.2799 0.2799 0.4655
0.3451 0.8155 0.5784
0.3536 0.3536 0.0913
0.4060 0.9248 0.2129
0.4614 0.4614 0.7030
0.5386 0.5386 0.2970
0.5940 0.0752 0.7871
0.6464 0.6464 0.9087
0.6549 0.1845 0.4216
0.7201 0.7201 0.5345
0.7509 0.2491 0.0000
0.8155 0.3451 0.5784
0.9248 0.4060 0.2129
0.9604 0.9604 0.7018
```

As for the energy above the lowest structure with this stoichiometry: 5.71 eV per formula unit. The symmetry is C2/m (12). For the formation energy, the calculation gives -1.283 eV per atom.

---

The following is a GGA+U calculation of a relaxed structure of Mg5Al4FeSi6O24, from Materials Project.

```
Mg5Al4FeSi6O24
1.0
7.6675 0.0000 0.0000
3.3733 8.4845 0.0000
0.3271 3.9397 14.0778
Mg Al Fe Si O
10 8 2 12 48
direct
0.0000 0.0000 0.0000
0.0012 0.3312 0.8141
0.0120 0.8573 0.3113
0.2334 0.6297 0.9437
0.2789 0.1116 0.4467
0.2889 0.3692 0.1416
0.3187 0.8620 0.6388
0.4021 0.5682 0.5339
0.6658 0.4761 0.1639
0.6668 0.0164 0.6396
0.1147 0.5750 0.6921
0.2363 0.0677 0.1934
0.4041 0.4086 0.3662
0.4052 0.8833 0.8604
0.5560 0.3060 0.9461
0.5835 0.8216 0.4390
0.8977 0.6653 0.0888
0.9141 0.1838 0.5864
0.0235 0.5213 0.4817
0.3930 0.0322 0.0069
0.0366 0.8815 0.7870
0.0509 0.3890 0.2953
0.0931 0.3388 0.9957
0.1049 0.8690 0.4911
0.3050 0.2475 0.5973
0.3081 0.7313 0.1011
0.4441 0.2325 0.7907
0.4549 0.7229 0.3024
0.6804 0.0210 0.1330
0.6949 0.5875 0.9311
0.7143 0.1195 0.4163
0.7266 0.5484 0.6240
0.0768 0.7582 0.0978
0.0819 0.5221 0.0270
0.0855 0.2493 0.1094
0.0918 0.6873 0.7884
0.0938 0.2478 0.6209
0.0948 0.0388 0.5291
0.0988 0.1800 0.9449
0.1078 0.7154 0.4413
0.1123 0.7613 0.6049
0.1661 0.1945 0.2925
0.2283 0.4569 0.2752
0.2332 0.4585 0.5979
0.2365 0.3777 0.7816
0.2462 0.9026 0.7689
0.2551 0.9341 0.1063
0.2558 0.8840 0.2848
0.3278 0.3111 0.4740
0.3301 0.3035 0.9778
0.3378 0.8031 0.9764
0.3487 0.8372 0.4743
0.4088 0.5280 0.0993
0.4181 0.0401 0.5933
0.4320 0.0648 0.8626
0.4492 0.5700 0.3908
0.4569 0.1077 0.1607
0.4705 0.6609 0.2055
0.4821 0.1976 0.6861
0.5101 0.6349 0.6472
0.5322 0.5099 0.9262
0.5688 0.0228 0.4192
0.6120 0.2660 0.8353
0.6224 0.2887 0.3306
0.6253 0.7700 0.3311
0.6322 0.7557 0.8465
0.6971 0.8643 0.0914
0.7215 0.1499 0.0351
0.7223 0.6040 0.0379
0.7290 0.1493 0.5213
0.7312 0.3854 0.5940
0.7610 0.6740 0.5248
0.8333 0.9948 0.2126
0.8933 0.0218 0.6970
0.8935 0.5277 0.7012
0.8994 0.4557 0.9129
0.8988 0.5077 0.2032
0.9266 0.0007 0.4010
0.9714 0.3963 0.3977
0.9872 0.8963 0.8929
```

As for the energy above the lowest structure with this stoichiometry: 0.00 eV per formula unit. The symmetry is P1 (1). For the formation energy, the calculation gives -2.998 eV per atom.